(1)
! PBE UBeO3, optimized geometry; values from VASP
&SYSTEM
  ibrav = 0, nat = 5, ntyp = 3
/
ATOMIC_SPECIES
O 16.00 O.upf
Be 9.01 Be.upf
U 238.03 U.upf
CELL_PARAMETERS angstrom
-2.1309 0.1162 2.8740
1.7153 -2.8198 1.3857
2.3089 2.2021 1.6229
ATOMIC_POSITIONS angstrom
O 2.0121 -0.3089 1.5043
O 0.0890 1.1591 2.2485
O -0.2078 -1.3518 2.1299
Be 0.9467 -0.2508 2.9413
U 0.0000 0.0000 0.0000
! Formation energy: -3052 meV per atom
! MP2020-corrected energy: -9.027 eV per atom
! Calculated total energy: -43.1 eV for the cell shown
! Space group: Pm-3m, No. 221

***

(2)
! PBE Be46Os7, optimized geometry; values from VASP
&SYSTEM
  ibrav = 0, nat = 53, ntyp = 2
/
ATOMIC_SPECIES
Be 9.01 Be.upf
Os 190.23 Os.upf
CELL_PARAMETERS angstrom
4.0873 -0.7908 -0.4828
-2.7981 -1.8025 -2.5467
2.4689 25.3938 -20.6858
ATOMIC_POSITIONS angstrom
Be -0.8418 18.3190 -18.9377
Be 1.2182 16.2384 -16.2801
Be -0.4229 -0.6401 -2.5309
Be 1.8870 23.1184 -21.8846
Be 2.0758 1.7896 -3.5474
Be 0.2405 6.1824 -8.0885
Be 4.4609 14.3524 -13.2859
Be 3.0934 0.5957 -2.0926
Be 4.3924 2.3478 -3.0395
Be 1.3097 18.9831 -20.0007
Be 2.5126 8.1761 -10.3086
Be 1.8471 11.3824 -11.8559
Be -0.9605 3.3307 -4.7504
Be 0.6827 20.2445 -18.5271
Be 2.2036 5.0020 -7.7261
Be 3.9780 21.3550 -19.4854
Be 2.6730 18.0044 -15.6801
Be 4.6056 4.5408 -4.8259
Be 2.8977 10.2435 -10.4340
Be 1.5440 6.3289 -6.1760
Be 1.6912 -0.3074 -3.3687
Be 1.0452 0.9920 -1.8506
Be 3.7218 18.7199 -17.3389
Be 3.2123 23.2719 -20.0009
Be -0.3343 2.0710 -6.2221
Be -0.1420 11.7672 -11.6209
Be -0.6374 20.4215 -20.6504
Be 3.8577 21.9737 -21.5175
Be 3.1541 12.8801 -12.5818
Be 0.4854 10.5052 -13.0953
Be 1.8543 9.5004 -8.7616
Be 5.2179 10.8383 -9.9559
Be 5.4222 12.9402 -11.6680
Be 5.2584 22.8760 -20.2426
Be 3.3368 16.6692 -17.2400
Be 1.0249 2.9466 -4.9850
Be 2.3323 4.4271 -5.6959
Be 1.7927 -1.1254 -1.1728
Be 3.0216 13.4252 -14.5959
Be 2.6708 19.8599 -18.7619
Be 1.0669 14.6825 -15.0127
Be 3.9415 9.0965 -9.0081
Be 3.6354 5.9244 -6.4231
Be 4.7776 17.5973 -15.9287
Be 2.3584 14.7591 -13.0375
Be 0.3986 7.8089 -9.4135
Os -0.2483 1.1546 -3.9929
Os 5.7327 16.1328 -14.2688
Os 0.5682 9.5526 -10.8338
Os 1.7139 21.3371 -20.4336
Os 0.8893 12.8552 -13.5242
Os 0.0708 4.4367 -6.6665
Os 1.3950 18.0572 -17.7617
! Formation energy: -73 meV per atom
! Calculated total energy: -254.5 eV for the cell shown
! Space group: P3m1, No. 156

***

(3)
! PBE Tm2BeOs, optimized geometry; values from VASP
&SYSTEM
  ibrav = 0, nat = 4, ntyp = 3
/
ATOMIC_SPECIES
Os 190.23 Os.upf
Tm 168.93 Tm.upf
Be 9.01 Be.upf
CELL_PARAMETERS angstrom
-1.8730 -2.0320 -3.8761
-3.7253 2.0107 -2.1772
0.5537 2.0451 -4.2629
ATOMIC_POSITIONS angstrom
Os 0.0000 0.0000 0.0000
Tm -3.7834 1.5179 -7.7371
Tm -1.2611 0.5060 -2.5790
Be -2.5222 1.0119 -5.1581
! Formation energy: -147 meV per atom
! Calculated total energy: -24.5 eV for the cell shown
! Space group: Fm-3m, No. 225

***

(4)
! PBE BePb3, optimized geometry; values from VASP
&SYSTEM
  ibrav = 0, nat = 4, ntyp = 2
/
ATOMIC_SPECIES
Pb 207.20 Pb.upf
Be 9.01 Be.upf
CELL_PARAMETERS angstrom
-2.3281 2.3281 5.0724
2.3281 -2.3281 5.0724
2.3281 2.3281 -5.0724
ATOMIC_POSITIONS angstrom
Pb 0.0000 2.3281 2.5362
Pb 2.3281 0.0000 2.5362
Pb 0.0000 0.0000 5.0724
Be 0.0000 0.0000 0.0000
! Relative energy among the computed polymorphs: 0.0000 eV per atom
! Formation energy: 528 meV per atom
! Calculated total energy: -12.8 eV for the cell shown
! Space group: I4/mmm, No. 139

***

(5)
! PBE BePb3, optimized geometry; values from VASP
&SYSTEM
  ibrav = 0, nat = 8, ntyp = 2
/
ATOMIC_SPECIES
Pb 207.20 Pb.upf
Be 9.01 Be.upf
CELL_PARAMETERS angstrom
-0.7172 1.9048 6.1665
-4.9544 -2.7952 -3.1319
1.8036 -5.2484 1.8310
ATOMIC_POSITIONS angstrom
Pb -0.0898 -2.8361 5.9480
Pb -4.1270 -2.3761 1.9172
Pb -1.3681 -1.9430 0.4411
Pb -3.7782 -3.3027 -1.0824
Pb -2.4999 -4.1958 4.4245
Pb 0.2590 -3.7627 2.9483
Be -1.6787 -0.9739 3.5248
Be -2.1893 -5.1648 1.3408
! Relative energy among the computed polymorphs: 0.0323 eV per atom
! Formation energy: 560 meV per atom
! Calculated total energy: -25.3 eV for the cell shown
! Space group: P6_3/mmc, No. 194

***

(6)
! PBE Be5Pd, optimized geometry; values from VASP
&SYSTEM
  ibrav = 0, nat = 6, ntyp = 2
/
ATOMIC_SPECIES
Be 9.01 Be.upf
Pd 106.42 Pd.upf
CELL_PARAMETERS angstrom
0.6748 -4.0726 0.9561
0.8728 -1.1227 3.9917
-2.8623 -2.1454 2.2716
ATOMIC_POSITIONS angstrom
Be -0.3287 -1.8352 1.8049
Be 0.6078 -3.5155 3.3766
Be -1.1584 -2.5532 4.0335
Be -0.8214 -4.5867 4.5109
Be -1.2572 -4.0261 2.5178
Pd 0.0000 0.0000 0.0000
! Formation energy: -315 meV per atom
! Calculated total energy: -25.8 eV for the cell shown
! Space group: F-43m, No. 216

***

(7)
! PBE BePd3, optimized geometry; values from VASP
&SYSTEM
  ibrav = 0, nat = 8, ntyp = 2
/
ATOMIC_SPECIES
Pd 106.42 Pd.upf
Be 9.01 Be.upf
CELL_PARAMETERS angstrom
1.4366 -4.8719 0.0000
1.4366 4.8719 0.0000
0.0000 0.0000 7.6947
ATOMIC_POSITIONS angstrom
Pd 1.4366 -3.5431 4.3175
Pd 1.4366 3.5431 3.3771
Pd 1.4366 -3.5431 7.2245
Pd 1.4366 3.5431 0.4702
Pd 1.4366 -0.6555 5.7710
Pd 1.4366 0.6555 1.9237
Be 1.4366 -2.4073 1.9237
Be 1.4366 2.4073 5.7710
! Formation energy: -382 meV per atom
! Calculated total energy: -41.6 eV for the cell shown
! Space group: Cmcm, No. 63

***

(8)
! PBE Be2PdPt, optimized geometry; values from VASP
&SYSTEM
  ibrav = 0, nat = 4, ntyp = 3
/
ATOMIC_SPECIES
Pt 195.08 Pt.upf
Pd 106.42 Pd.upf
Be 9.01 Be.upf
CELL_PARAMETERS angstrom
0.0000 2.8405 2.8405
2.8405 0.0000 2.8405
2.8405 2.8405 0.0000
ATOMIC_POSITIONS angstrom
Pt 0.0000 0.0000 0.0000
Pd 2.8405 2.8405 2.8405
Be 1.4202 1.4202 1.4202
Be 4.2607 4.2607 4.2607
! Formation energy: -684 meV per atom
! Calculated total energy: -21.5 eV for the cell shown
! Space group: Fm-3m, No. 225

***

(9)
! PBE Zr6Be15Pd8, optimized geometry; values from VASP
&SYSTEM
  ibrav = 0, nat = 29, ntyp = 3
/
ATOMIC_SPECIES
Pd 106.42 Pd.upf
Be 9.01 Be.upf
Zr 91.22 Zr.upf
CELL_PARAMETERS angstrom
1.1726 -7.6551 -2.4255
0.7553 -5.9262 5.4925
-5.9121 -5.4882 0.8867
ATOMIC_POSITIONS angstrom
Pd -3.4856 -16.6830 3.4589
Pd -0.1215 -5.3461 3.2378
Pd -4.0712 -12.8600 4.6702
Pd 0.0870 -6.2095 -0.7165
Pd -0.4986 -2.3866 0.4948
Pd -3.8627 -13.7234 0.7160
Pd -3.4511 -5.1274 0.9376
Pd -0.5331 -13.9422 3.0161
Be -2.6879 -12.8652 2.6674
Be -2.4603 -14.6515 4.3230
Be 0.0000 0.0000 0.0000
Be 0.5863 -3.8276 -1.2128
Be -4.4699 -14.5194 2.9346
Be -2.5784 -5.7072 3.1896
Be -2.9560 -2.7441 0.4433
Be 0.4858 -4.5501 1.0191
Be 0.3776 -2.9631 2.7463
Be 0.9639 -6.7907 1.5335
Be -1.5239 -4.4181 -0.3692
Be -2.3345 -15.1726 1.9363
Be -1.6497 -3.8969 2.0175
Be -1.2963 -6.2044 1.2864
Be -2.3697 -6.5716 -0.7694
Zr -0.7418 -8.7922 0.2376
Zr -3.5408 -7.9360 1.5462
Zr -3.2424 -10.2774 3.7162
Zr -0.9067 -8.1091 3.3659
Zr -0.4434 -11.1335 2.4076
Zr -3.0775 -10.9604 0.5879
! Formation energy: -472 meV per atom
! Calculated total energy: -162.5 eV for the cell shown
! Space group: Fm-3m, No. 225

***

(10)
! PBE Be5Pt, optimized geometry; values from VASP
&SYSTEM
  ibrav = 0, nat = 6, ntyp = 2
/
ATOMIC_SPECIES
Be 9.01 Be.upf
Pt 195.08 Pt.upf
CELL_PARAMETERS angstrom
-2.9886 -2.9886 0.0000
-2.9886 0.0000 -2.9886
0.0000 -2.9886 -2.9886
ATOMIC_POSITIONS angstrom
Be -2.2446 -2.2446 -2.2446
Be -4.4829 -4.4829 -4.4829
Be -3.7327 -2.2446 -3.7327
Be -2.2446 -3.7327 -3.7327
Be -3.7327 -3.7327 -2.2446
Pt 0.0000 0.0000 0.0000
! Formation energy: -462 meV per atom
! Calculated total energy: -27.5 eV for the cell shown
! Space group: F-43m, No. 216

***

(11)
! PBE Rb2Be4Pt3, optimized geometry; values from VASP
&SYSTEM
  ibrav = 0, nat = 9, ntyp = 3
/
ATOMIC_SPECIES
Be 9.01 Be.upf
Pt 195.08 Pt.upf
Rb 85.47 Rb.upf
CELL_PARAMETERS angstrom
-0.7491 -8.0889 1.2377
-2.1248 -4.0920 5.5748
-4.7396 -3.0961 -2.1514
ATOMIC_POSITIONS angstrom
Be -5.0778 -9.0270 -0.6533
Be -4.7077 -10.8295 1.1252
Be -2.5357 -6.2499 5.3145
Be -2.9059 -4.4474 3.5360
Pt -2.3698 -1.5480 -1.0757
Pt -1.4370 -6.0904 3.4063
Pt 0.0000 0.0000 0.0000
Rb -3.5245 -9.0131 3.6870
Rb -4.0891 -6.2638 0.9742
! Formation energy: 141 meV per atom
! Calculated total energy: -33.9 eV for the cell shown
! Space group: Fmmm, No. 69

***

(12)
! PBE PuBe13, optimized geometry; values from VASP
&SYSTEM
  ibrav = 0, nat = 28, ntyp = 2
/
ATOMIC_SPECIES
Pu 244.00 Pu.upf
Be 9.01 Be.upf
CELL_PARAMETERS angstrom
0.0000 5.1032 5.1032
5.1032 0.0000 5.1032
5.1032 5.1032 0.0000
ATOMIC_POSITIONS angstrom
Pu 7.6548 7.6548 7.6548
Pu 2.5516 2.5516 2.5516
Be 5.1032 1.7971 3.9332
Be 6.9003 5.1032 3.9332
Be 3.9332 3.3061 5.1032
Be 6.2732 3.3061 5.1032
Be 5.1032 5.1032 5.1032
Be 1.7971 3.9332 5.1032
Be 5.1032 8.4093 6.2732
Be 3.9332 5.1032 1.7971
Be 6.2732 5.1032 1.7971
Be 5.1032 8.4093 3.9332
Be 5.1032 1.7971 6.2732
Be 5.1032 6.2732 3.3061
Be 8.4093 3.9332 5.1032
Be 6.2732 5.1032 8.4093
Be 6.9003 5.1032 6.2732
Be 3.3061 5.1032 3.9332
Be 5.1032 6.2732 6.9003
Be 0.0000 0.0000 0.0000
Be 3.9332 5.1032 8.4093
Be 1.7971 6.2732 5.1032
Be 5.1032 3.9332 3.3061
Be 8.4093 6.2732 5.1032
Be 3.9332 6.9003 5.1032
Be 5.1032 3.9332 6.9003
Be 3.3061 5.1032 6.2732
Be 6.2732 6.9003 5.1032
! Formation energy: -115 meV per atom
! Calculated total energy: -129.0 eV for the cell shown
! Space group: Fm-3c, No. 226

***

Copy entry 6 word for word.
! PBE Be5Pd, optimized geometry; values from VASP
&SYSTEM
  ibrav = 0, nat = 6, ntyp = 2
/
ATOMIC_SPECIES
Be 9.01 Be.upf
Pd 106.42 Pd.upf
CELL_PARAMETERS angstrom
0.6748 -4.0726 0.9561
0.8728 -1.1227 3.9917
-2.8623 -2.1454 2.2716
ATOMIC_POSITIONS angstrom
Be -0.3287 -1.8352 1.8049
Be 0.6078 -3.5155 3.3766
Be -1.1584 -2.5532 4.0335
Be -0.8214 -4.5867 4.5109
Be -1.2572 -4.0261 2.5178
Pd 0.0000 0.0000 0.0000
! Formation energy: -315 meV per atom
! Calculated total energy: -25.8 eV for the cell shown
! Space group: F-43m, No. 216

***

Q: formation energy of number 10 (Be5Pt)?
A: -462 meV per atom

***

What did the seventh record say?
! PBE BePd3, optimized geometry; values from VASP
&SYSTEM
  ibrav = 0, nat = 8, ntyp = 2
/
ATOMIC_SPECIES
Pd 106.42 Pd.upf
Be 9.01 Be.upf
CELL_PARAMETERS angstrom
1.4366 -4.8719 0.0000
1.4366 4.8719 0.0000
0.0000 0.0000 7.6947
ATOMIC_POSITIONS angstrom
Pd 1.4366 -3.5431 4.3175
Pd 1.4366 3.5431 3.3771
Pd 1.4366 -3.5431 7.2245
Pd 1.4366 3.5431 0.4702
Pd 1.4366 -0.6555 5.7710
Pd 1.4366 0.6555 1.9237
Be 1.4366 -2.4073 1.9237
Be 1.4366 2.4073 5.7710
! Formation energy: -382 meV per atom
! Calculated total energy: -41.6 eV for the cell shown
! Space group: Cmcm, No. 63